1.
Material: NaMg14Sn
Method: DFT, PBE
State: relaxed

## Properties
Its distance to the lowest polymorph of the same formula is 0.000 eV per atom.

abc: 6.414 6.380 10.541
angles: 90.00 90.00 119.83
Positions (direct):
Na (0.166, 0.833, 0.125)
Mg (0.334, 0.169, 0.872)
Mg (0.832, 0.166, 0.375)
Mg (0.667, 0.333, 0.625)
Mg (0.167, 0.333, 0.625)
Mg (0.830, 0.665, 0.871)
Mg (0.832, 0.166, 0.875)
Mg (0.667, 0.834, 0.625)
Mg (0.334, 0.666, 0.872)
Mg (0.167, 0.833, 0.625)
Mg (0.667, 0.832, 0.125)
Mg (0.334, 0.666, 0.378)
Mg (0.334, 0.169, 0.378)
Mg (0.830, 0.665, 0.379)
Mg (0.667, 0.335, 0.125)
Sn (0.169, 0.335, 0.125)



2.
Material: Ag5BiO4
Method: DFT, PBE
State: relaxed

## Properties
The calculation puts the raw total energy at -4.173 eV per atom.

abc: 9.014 6.039 14.001
angles: 65.56 90.00 90.00
Positions (direct):
Ag (0.500, 0.500, 0.500)
Ag (0.768, 0.385, 0.374)
Ag (0.861, 0.383, 0.647)
Ag (0.500, 0.000, 0.000)
Ag (0.139, 0.617, 0.353)
Ag (0.992, 0.715, 0.754)
Ag (0.270, 0.122, 0.125)
Ag (0.639, 0.383, 0.147)
Ag (0.770, 0.878, 0.375)
Ag (0.232, 0.615, 0.626)
Ag (0.000, 0.000, 0.500)
Ag (0.008, 0.285, 0.246)
Ag (0.492, 0.285, 0.746)
Ag (0.730, 0.878, 0.875)
Ag (0.508, 0.715, 0.254)
Ag (0.000, 0.500, 0.000)
Ag (0.732, 0.385, 0.874)
Ag (0.230, 0.122, 0.625)
Ag (0.361, 0.617, 0.853)
Ag (0.268, 0.615, 0.126)
O (0.095, 0.303, 0.695)
O (0.636, 0.069, 0.440)
O (0.405, 0.303, 0.195)
O (0.138, 0.031, 0.372)
O (0.365, 0.457, 0.379)
O (0.864, 0.069, 0.940)
O (0.136, 0.931, 0.060)
O (0.865, 0.543, 0.121)
O (0.862, 0.969, 0.628)
O (0.595, 0.697, 0.805)
O (0.362, 0.031, 0.872)
O (0.635, 0.543, 0.621)
O (0.364, 0.931, 0.560)
O (0.905, 0.697, 0.305)
O (0.135, 0.457, 0.879)
O (0.638, 0.969, 0.128)
Bi (0.121, 0.095, 0.878)
Bi (0.879, 0.905, 0.122)
Bi (0.621, 0.905, 0.622)
Bi (0.379, 0.095, 0.378)



3.
Material: NaPHO3
Method: DFT, PBE
State: relaxed

## Properties
Its distance to the lowest polymorph of the same formula is 0.026 eV per atom.

abc: 6.577 6.772 9.493
angles: 93.46 102.96 108.00
Positions (direct):
O (0.178, 0.021, 0.324)
O (0.906, 0.654, 0.578)
O (0.094, 0.346, 0.422)
O (0.708, 0.619, 0.218)
O (0.822, 0.979, 0.676)
O (0.292, 0.381, 0.782)
O (0.450, 0.376, 0.338)
O (0.550, 0.624, 0.662)
O (0.312, 0.639, 0.195)
O (0.595, 0.772, 0.432)
O (0.688, 0.361, 0.805)
O (0.405, 0.228, 0.568)
P (0.257, 0.237, 0.408)
P (0.743, 0.763, 0.592)
P (0.517, 0.606, 0.282)
P (0.483, 0.394, 0.718)
Na (0.939, 0.331, 0.630)
Na (0.264, 0.928, 0.125)
Na (0.061, 0.669, 0.370)
Na (0.736, 0.072, 0.875)
H (0.843, 0.744, 0.996)
H (0.157, 0.256, 0.004)
H (0.691, 0.162, 0.153)
H (0.309, 0.838, 0.847)



4.
Material: DyNiGe
Method: DFT, PBE
State: relaxed

## Properties
The calculation puts the raw total energy at -5.800 eV per atom.

abc: 4.225 6.916 7.288
angles: 90.00 90.00 90.00
Positions (direct):
Ge (0.750, 0.196, 0.088)
Ge (0.250, 0.304, 0.588)
Ge (0.750, 0.696, 0.412)
Ge (0.250, 0.804, 0.912)
Dy (0.750, 0.007, 0.706)
Dy (0.750, 0.507, 0.794)
Dy (0.250, 0.493, 0.206)
Dy (0.250, 0.993, 0.294)
Ni (0.250, 0.694, 0.584)
Ni (0.750, 0.806, 0.084)
Ni (0.750, 0.306, 0.416)
Ni (0.250, 0.194, 0.916)